(1)
This record from Materials Project describes a relaxed K3CoPCO7 crystal. The functional is GGA+U.

- Formation enthalpy at 0 K: -216.28 kJ per mole of atoms
- Raw total energy: -329.64 eV for the cell shown
- Calculated volume: 14.51 A^3/atom

```
52
Lattice="-0.939 -2.007 6.609 0.438 10.614 3.285 -9.853 -4.377 -2.727" Properties=species:S:1:pos:R:3 pbc="T T T"
O -0.603 3.769 6.573
O -4.418 3.953 2.359
O -3.919 1.191 5.307
O -5.733 -3.717 3.549
O -0.167 7.286 2.699
O -5.051 4.447 7.477
O -1.730 -0.081 1.576
O -4.104 -0.982 4.665
O -5.923 0.302 4.720
O -2.984 5.823 6.860
O -1.548 2.083 2.250
O -5.641 -0.943 2.080
O -2.221 5.895 3.319
O -4.623 7.958 3.575
O -7.372 -1.583 0.308
O -4.692 5.162 5.078
O -0.782 7.792 7.762
O -8.626 4.305 5.609
O -9.751 0.460 0.602
O -9.572 -3.560 -0.598
O -0.506 6.558 5.098
O -9.847 -2.332 2.079
O -8.808 2.143 4.928
O -5.315 -0.201 -0.317
O -6.434 3.044 1.845
O -8.136 -1.672 3.859
O -6.257 5.192 2.568
O -10.196 -3.058 4.477
K -2.725 8.254 5.724
K -7.423 1.724 -0.450
K -2.281 9.221 2.552
K -8.866 4.446 1.947
K -4.163 1.336 1.646
K -7.622 -4.025 1.447
K -7.858 0.750 2.714
K -2.483 3.462 4.454
K -8.081 -4.992 4.617
K -1.488 -0.221 5.242
K -6.190 2.901 5.511
K -2.946 2.519 7.622
C -9.339 3.312 5.201
C -4.631 0.194 4.907
C -5.720 4.039 2.247
C -1.016 0.915 1.975
P -4.489 5.584 6.568
P -9.642 -1.913 3.570
P -0.715 6.139 3.607
P -5.865 -1.349 0.589
Co -4.271 5.996 3.062
Co -0.928 5.734 7.124
Co -6.086 -1.772 4.118
Co -9.427 -1.503 0.043
```


(2)
This record from Materials Project describes a relaxed K3CoPCO7 crystal. The functional is GGA+U.

- Formation enthalpy at 0 K: -216.32 kJ per mole of atoms
- Raw total energy: -329.66 eV for the cell shown
- Calculated volume: 14.53 A^3/atom

```
52
Lattice="1.295 4.126 7.872 -8.704 1.604 -1.517 -2.306 -8.062 4.617" Properties=species:S:1:pos:R:3 pbc="T T T"
Co 0.132 0.300 7.547
Co -9.846 -2.632 3.424
Co -4.872 -0.977 2.855
Co -4.845 -1.354 8.117
O -8.314 -2.443 5.036
O -4.268 -2.942 2.793
O -5.068 1.156 2.564
O -6.416 -1.170 1.250
O -8.463 -2.549 1.906
O -1.253 0.210 9.064
O -7.330 2.861 4.510
O 0.166 0.646 2.248
O -3.305 -1.159 9.724
O -9.882 -2.978 8.723
O -6.182 -5.853 5.559
O -6.937 2.524 7.414
O -5.442 0.615 8.175
O -6.269 -1.068 4.359
O -6.028 -2.300 9.691
O -2.385 -5.192 6.461
O -9.584 -4.752 3.783
O -1.399 0.111 5.934
O -4.642 -3.485 8.413
O -3.446 -1.261 6.612
O -3.532 3.522 5.413
O -3.209 -0.367 4.232
O -2.780 -4.856 3.558
O -0.131 2.420 7.189
O -6.503 -1.965 6.738
O -8.014 -0.080 5.928
O -1.701 -2.253 5.045
O -3.693 -0.033 1.276
K -1.732 1.922 3.889
K -6.691 0.653 -0.784
K -7.882 0.612 2.950
K -6.825 -4.176 3.329
K -2.891 1.842 7.643
K -1.574 -1.597 2.215
K -7.983 -4.253 7.083
K -5.277 1.242 5.394
K -3.026 -2.987 11.754
K -1.834 -2.941 8.020
K -8.145 -0.735 8.755
K -4.436 -3.574 5.578
P -7.266 -1.385 5.506
P -3.540 -4.248 2.338
P -6.176 1.916 8.633
P -2.447 -0.946 5.465
C -7.906 4.016 4.747
C -4.205 1.138 1.578
C -5.511 -3.469 9.394
C -1.809 -6.348 6.224
```


(3)
This record from Materials Project describes a relaxed Li12MnCo3P4C4O28 crystal. The functional is GGA+U.

- Formation enthalpy at 0 K: -219.94 kJ per mole of atoms
- Raw total energy: -343.22 eV for the cell shown
- Calculated volume: 10.56 A^3/atom

```
52
Lattice="-3.680 3.332 -4.185 -5.721 1.330 6.090 4.126 8.566 3.192" Properties=species:S:1:pos:R:3 pbc="T T T"
O -1.712 3.363 -0.855
O 0.844 9.276 3.485
O -4.509 8.674 2.677
O -4.976 7.406 5.235
O -2.039 1.317 2.842
O 0.034 5.611 4.437
O -1.219 5.014 1.883
O -1.387 10.266 4.355
O -5.674 4.871 3.830
O -2.080 3.268 4.431
O -1.409 8.283 2.796
O -3.744 3.922 6.415
O 0.355 7.647 0.738
O -4.301 2.260 3.695
O 1.571 4.147 1.920
O 3.591 8.435 3.557
O -0.530 10.519 1.923
O -1.727 8.203 8.049
O 0.216 2.372 1.698
O -6.603 4.344 1.077
O -7.044 3.124 3.644
O -3.476 4.004 1.207
O 0.048 7.587 5.998
O -3.609 9.155 5.424
O -2.203 6.586 5.299
O -3.448 5.990 2.763
O 2.233 6.683 3.357
O -2.576 6.242 0.341
Li -3.373 11.025 3.953
Li -4.698 2.215 5.894
Li -5.433 6.760 2.385
Li -2.081 2.327 0.927
Li -0.010 6.644 2.546
Li -0.822 5.085 -0.266
Li -1.361 9.204 6.240
Li -3.749 3.836 -0.969
Li -1.679 8.156 0.647
Li 1.242 9.363 1.324
Li -2.606 6.486 7.455
Li -3.433 4.949 4.659
Mn -0.338 3.779 3.306
P -0.706 6.273 5.615
P -0.653 9.592 3.173
P -2.812 1.952 4.027
P -2.709 5.316 1.577
Co -3.164 7.741 3.908
Co -5.236 3.451 2.314
Co 1.796 8.110 4.876
C -6.733 4.224 4.247
C -4.666 8.508 5.839
C 1.264 3.049 1.316
C 3.288 7.332 2.946
```


(4)
This record from Materials Project describes a relaxed NaLi2CoPCO7 crystal. The functional is GGA+U.

- Formation enthalpy at 0 K: -219.50 kJ per mole of atoms
- Raw total energy: -338.61 eV for the cell shown
- Calculated volume: 10.96 A^3/atom

```
52
Lattice="-7.415 3.733 -0.724 -2.993 -5.920 5.358 -0.340 5.319 6.403" Properties=species:S:1:pos:R:3 pbc="T T T"
C -4.101 2.839 1.236
C -10.105 -0.590 6.181
C -0.563 3.627 4.812
C -6.572 0.212 9.734
O -3.602 5.262 5.334
O -3.304 2.888 2.258
O -3.485 -4.366 5.881
O -3.700 1.029 5.010
O -5.000 0.263 7.112
O -3.333 -1.653 9.067
O -8.111 2.478 3.776
O -3.709 -1.407 5.873
O -7.189 4.537 4.978
O -2.454 0.429 7.125
O -7.383 0.157 8.724
O -5.176 2.097 1.344
O -3.273 -2.314 3.264
O -5.699 1.191 9.769
O -6.864 -2.438 5.496
O -5.614 2.868 4.129
O -7.156 2.205 6.097
O -1.640 2.885 4.925
O -7.171 7.417 5.101
O -7.565 5.577 7.850
O -2.075 3.661 7.702
O -3.307 0.020 2.142
O -5.979 -0.372 3.551
O -4.575 3.288 7.345
O -8.529 -0.520 3.545
O -7.156 4.460 1.778
O -7.592 3.135 8.685
O -9.227 0.382 6.224
Na -6.964 -0.119 5.766
Na -1.707 0.830 3.770
Na -3.441 0.677 9.329
Na -5.582 5.364 6.584
Li -7.343 2.357 1.697
Li -5.084 -2.206 4.374
Li -3.771 3.153 5.270
Li -5.839 4.778 3.282
Li -8.948 2.300 7.249
Li -1.959 0.262 0.445
Li -8.631 2.700 10.476
Li -4.754 -1.837 7.643
P -3.490 3.796 8.348
P -7.238 -0.673 2.680
P -7.031 2.996 4.776
P -3.706 0.109 6.249
Co -6.080 1.924 7.828
Co -2.210 -2.623 5.025
Co -8.548 5.737 6.049
Co -4.670 1.239 3.180
```


(5)
This record from Materials Project describes a relaxed Li12CoNi3P4C4O28 crystal. The functional is GGA+U.

- Formation enthalpy at 0 K: -219.24 kJ per mole of atoms
- Raw total energy: -334.13 eV for the cell shown
- Calculated volume: 10.23 A^3/atom

```
52
Lattice="-3.919 -4.831 1.573 5.124 -5.392 -3.795 5.465 -1.785 8.131" Properties=species:S:1:pos:R:3 pbc="T T T"
Li 3.348 -4.504 7.591
Li 1.970 -6.126 5.174
Li 3.765 -3.913 4.453
Li 8.013 -5.979 1.599
Li 5.478 -9.195 5.599
Li -0.772 -5.227 1.094
Li 4.876 -5.677 0.678
Li 2.743 -8.305 1.534
Li 7.607 -6.572 4.745
Li 5.284 -5.090 -2.470
Li 1.020 -3.017 0.375
Li 0.615 -3.611 3.527
O 5.722 -2.153 7.641
O 7.250 -4.465 4.349
O 2.310 -4.218 5.888
O 2.972 -1.243 3.585
O 3.292 -6.296 1.951
O 5.642 -8.334 1.545
O 3.575 -8.704 3.441
O 5.349 -3.301 3.186
O 2.176 -1.276 1.502
O 6.024 -7.190 6.010
O 4.520 -3.580 0.264
O 3.283 -4.790 -1.623
O 3.873 -6.615 7.323
O 4.930 -2.187 5.562
O 9.053 -6.270 3.297
O 6.306 -5.363 -0.761
O 2.606 -3.910 2.670
O 6.025 -5.684 2.457
O 5.342 -4.805 6.733
O 1.394 -5.137 0.780
O 0.834 -7.809 -0.639
O 4.124 -6.029 4.842
O -0.421 -3.325 1.825
O 2.613 -2.407 -0.883
O 3.701 -7.407 -0.441
O 6.435 -8.301 3.623
O 2.910 -7.443 -2.520
O 1.139 -5.719 3.259
Ni 4.763 -7.093 3.167
Ni 6.606 -3.398 6.023
Ni 2.027 -6.199 -0.904
Co 3.865 -2.501 1.948
P 3.764 -3.411 -1.098
P 6.504 -4.304 2.986
P 2.135 -5.296 2.141
P 4.868 -6.188 6.207
C 3.777 -7.864 -1.657
C 4.854 -1.730 6.778
C 6.510 -8.757 2.408
C 2.104 -0.821 2.720
```


(6)
This record from Materials Project describes a relaxed Li2CoC2O6 crystal. The functional is GGA+U.

- Formation enthalpy at 0 K: -185.46 kJ per mole of atoms
- Raw total energy: -297.82 eV for the cell shown
- Calculated volume: 12.26 A^3/atom

```
44
Lattice="-4.875 -7.706 -2.991 3.857 0.141 -6.650 6.519 -4.305 0.466" Properties=species:S:1:pos:R:3 pbc="T T T"
O 0.062 -9.066 -4.365
O -0.768 -4.071 -4.602
O -0.396 -6.563 -2.987
O 6.538 -8.713 -6.954
O 1.018 -10.131 -6.090
O 3.657 -2.426 -2.915
O 6.268 -6.162 -4.204
O 0.340 -0.981 -1.377
O 3.267 -7.195 -5.388
O 0.698 -3.224 -3.167
O -3.276 -7.148 -3.282
O 6.706 -4.030 -5.693
O 7.529 -6.696 -6.660
O 2.129 -5.463 -4.531
O -1.452 -6.792 -5.393
O -1.769 -4.206 -1.531
O 4.880 -11.445 -9.112
O 2.105 -9.553 -9.015
O 3.969 -9.966 -6.521
O 8.407 -4.420 -3.262
O 4.074 -7.799 -7.991
O 1.950 -3.246 -0.865
O 1.147 -5.873 -1.541
O 4.006 -5.071 -5.691
Li 6.391 -4.195 -3.683
Li 2.070 -4.571 -2.795
Li 0.481 -9.735 -2.359
Li 3.892 -3.919 -7.509
Li 0.258 -5.861 -4.789
Li 8.446 -4.940 -5.338
Li 2.323 -9.051 -7.060
Li -1.868 -5.229 -3.177
C 7.562 -7.932 -7.109
C 0.328 -6.807 -1.940
C 4.206 -11.062 -5.884
C -0.109 -3.028 -4.154
C 6.488 -2.986 -6.429
C -4.443 -7.704 -3.528
C 3.130 -5.912 -5.201
C -0.045 -9.779 -5.458
Co 5.797 -5.795 -6.287
Co 4.876 -8.237 -5.974
Co 1.843 -1.708 -2.455
Co -1.584 -8.112 -3.680
```


(7)
This record from Materials Project describes a relaxed Li2CoC2O6 crystal. The functional is GGA+U.

- Formation enthalpy at 0 K: -189.42 kJ per mole of atoms
- Raw total energy: -149.81 eV for the cell shown
- Calculated volume: 11.44 A^3/atom

```
22
Lattice="2.257 2.548 4.175 6.044 -1.427 1.078 1.198 4.815 -7.061" Properties=species:S:1:pos:R:3 pbc="T T T"
C 2.837 4.745 -2.312
C 4.967 3.379 -4.367
C 4.779 2.836 3.016
C 5.781 0.196 -1.125
O 5.446 3.972 -5.417
O 3.483 5.632 -1.617
O 4.925 2.880 1.726
O 7.701 1.514 2.799
O 6.309 5.014 -0.323
O 3.144 1.190 -0.461
O 2.409 5.108 -3.484
O 5.374 3.641 -3.162
O 5.711 1.091 -2.061
O 4.021 1.931 3.553
O 2.627 3.537 -1.890
O 6.164 0.469 0.085
Co 8.012 0.794 4.718
Co 3.896 2.004 -2.482
Li 4.405 1.065 1.067
Li 7.020 2.366 -2.876
Li 1.757 2.754 -0.269
Li 5.499 5.329 -2.123
```


(8)
This record from Materials Project describes a relaxed Li3Co2C4O12 crystal. The functional is GGA+U.

- Formation enthalpy at 0 K: -178.97 kJ per mole of atoms
- Raw total energy: -287.33 eV for the cell shown
- Calculated volume: 11.96 A^3/atom

```
42
Lattice="-1.095 -3.010 -4.355 7.876 -7.763 3.264 -6.003 -5.461 2.258" Properties=species:S:1:pos:R:3 pbc="T T T"
Co 3.198 -5.803 -1.132
Co -1.058 -4.915 1.572
Co 2.388 -10.400 0.826
Co 7.722 -8.158 2.679
C -3.252 -6.052 2.104
C 2.855 -12.101 3.189
C 4.159 -9.994 -0.674
C 2.042 -7.608 0.187
C 0.719 -4.619 -0.123
C -1.321 -2.143 0.795
C 0.089 -11.360 1.703
C -1.616 -9.703 -0.552
O 4.107 -9.484 0.536
O -0.980 -12.061 1.693
O 2.811 -11.656 4.406
O -1.069 -8.940 -1.466
O -1.992 -4.111 -2.962
O 0.820 -4.119 1.077
O -1.717 -9.305 0.678
O 3.415 -11.415 2.231
O 1.461 -8.625 0.786
O 0.898 -11.543 0.666
O -4.364 -6.673 2.183
O -2.079 -10.868 -0.851
O 3.152 -10.774 -0.928
O -0.362 -5.311 -0.316
O 2.230 -7.634 -1.101
O -3.928 -8.157 -1.401
O 1.621 -4.451 -1.019
O -1.209 -2.196 -0.496
O 2.332 -13.262 2.951
O -2.451 -6.307 1.102
O -2.981 -6.149 -2.905
O 5.112 -9.757 -1.480
O 2.416 -6.564 0.817
O 0.439 -10.505 2.590
Li -0.239 -8.697 1.873
Li -4.756 -6.340 -1.934
Li -0.130 -13.454 0.167
Li -3.547 -8.152 0.671
Li 5.261 -10.808 1.766
Li 1.886 -5.420 2.250
```